Here is a geometry-optimized Cs2MgGe3Se8 structure from the Materials Project. Energies are from PBE.

Unit cell a=7.854 b=13.296 c=18.131 alpha=90.00 beta=90.00 gamma=90.00
Fractional coordinates of all 56 atoms:
Se1 0.764 0.874 0.156
Se2 0.279 0.627 0.640
Se3 0.733 0.119 0.447
Se4 0.502 0.094 0.050
Se5 0.271 0.873 0.150
Se6 0.498 0.594 0.450
Se7 0.513 0.383 0.964
Se8 0.721 0.127 0.860
Se9 0.001 0.915 0.762
Se10 0.236 0.374 0.344
Se11 0.998 0.906 0.550
Se12 0.993 0.618 0.233
Se13 0.507 0.382 0.733
Se14 0.013 0.117 0.036
Se15 0.493 0.882 0.767
Se16 0.999 0.415 0.738
Se17 0.487 0.883 0.536
Se18 0.007 0.118 0.267
Se19 0.501 0.585 0.238
Se20 0.771 0.627 0.850
Se21 0.779 0.873 0.360
Se22 0.499 0.085 0.262
Se23 0.221 0.373 0.140
Se24 0.267 0.619 0.053
Se25 0.987 0.617 0.464
Se26 0.264 0.626 0.844
Se27 0.002 0.406 0.950
Se28 0.229 0.127 0.650
Se29 0.736 0.126 0.656
Se30 0.767 0.881 0.947
Se31 0.233 0.381 0.553
Se32 0.729 0.373 0.350
Ge1 0.482 0.474 0.347
Ge2 0.766 0.049 0.323
Ge3 0.761 0.058 0.983
Ge4 0.239 0.558 0.517
Ge5 0.518 0.974 0.153
Ge6 0.234 0.549 0.177
Ge7 0.982 0.026 0.653
Ge8 0.734 0.951 0.823
Ge9 0.261 0.442 0.017
Ge10 0.266 0.451 0.677
Ge11 0.018 0.526 0.847
Ge12 0.739 0.942 0.483
Mg1 0.517 0.499 0.848
Mg2 0.017 0.001 0.152
Mg3 0.483 0.999 0.652
Mg4 0.983 0.501 0.348
Cs1 0.756 0.627 0.053
Cs2 0.769 0.690 0.652
Cs3 0.244 0.127 0.447
Cs4 0.731 0.310 0.152
Cs5 0.256 0.873 0.947
Cs6 0.231 0.190 0.848
Cs7 0.269 0.810 0.348
Cs8 0.744 0.373 0.553

Output
Energy with MP2020 corrections ... -236.13 eV per cell
Calculated formation energy ... -0.986 eV/atom
Total magnetization ... 0.000 μB per atom
Volume ... 33.81 Å³ per atom